(1)
Below is CdPd2O3 after structural relaxation, with properties calculated at the PBE level.

Cell: 4.6264 4.6264 4.2225 Å, 90.00 90.00 90.00°
Fractional coordinates of all 6 atoms:
Cd1 0.0000 0.0000 0.0000
Pd1 0.0000 0.5000 0.5000
Pd2 0.5000 0.0000 0.5000
O1 0.0000 0.0000 0.5000
O2 0.0000 0.5000 0.0000
O3 0.5000 0.0000 0.0000

Calculated volume ... 90.4 Å³/f.u.
Formation energy ... -0.51 eV/atom

(2)
Below is Th3In after structural relaxation, with properties calculated at the PBE level.

Cell: 4.9607 4.9607 4.9607 Å, 90.00 90.00 90.00°
Fractional coordinates of all 4 atoms:
Th1 0.0000 0.0000 0.5000
Th2 0.0000 0.5000 0.0000
Th3 0.5000 0.0000 0.0000
In1 0.5000 0.5000 0.5000

Calculated volume ... 122.1 Å³/f.u.
Formation energy ... -0.16 eV/atom

(3)
Below is Ca10P6SeO24 after structural relaxation, with properties calculated at the PBE level.

Cell: 9.6049 9.6049 6.8972 Å, 90.00 90.00 120.00°
Fractional coordinates of all 41 atoms:
Ca1 0.0110 0.2619 0.2501
Ca2 0.2509 0.9890 0.2501
Ca3 0.2619 0.2509 0.7499
Ca4 0.3333 0.6667 0.0198
Ca5 0.3333 0.6667 0.5112
Ca6 0.6667 0.3333 0.4888
Ca7 0.6667 0.3333 0.9802
Ca8 0.7381 0.7491 0.2501
Ca9 0.7491 0.0110 0.7499
Ca10 0.9890 0.7381 0.7499
P1 0.0282 0.3993 0.7509
P2 0.3710 0.9718 0.7509
P3 0.3993 0.3710 0.2491
P4 0.6007 0.6290 0.7509
P5 0.6290 0.0282 0.2491
P6 0.9718 0.6007 0.2491
Se1 0.0000 0.0000 0.5000
O1 0.0693 0.3053 0.9029
O2 0.0984 0.3900 0.5523
O3 0.1152 0.5823 0.8028
O4 0.1573 0.6739 0.2548
O5 0.2361 0.9307 0.9029
O6 0.2916 0.9016 0.5523
O7 0.3053 0.2361 0.0971
O8 0.3261 0.4834 0.2548
O9 0.3900 0.2916 0.4477
O10 0.4177 0.5328 0.8028
O11 0.4672 0.8848 0.8028
O12 0.4834 0.1573 0.7452
O13 0.5166 0.8427 0.2548
O14 0.5328 0.1152 0.1972
O15 0.5823 0.4672 0.1972
O16 0.6100 0.7084 0.5523
O17 0.6739 0.5166 0.7452
O18 0.6947 0.7639 0.9029
O19 0.7084 0.0984 0.4477
O20 0.7639 0.0693 0.0971
O21 0.8427 0.3261 0.7452
O22 0.8848 0.4177 0.1972
O23 0.9016 0.6100 0.4477
O24 0.9307 0.6947 0.0971

Calculated volume ... 551.0 Å³/f.u.
Formation energy ... -3.27 eV/atom

(4)
Below is Li5LaO4 after structural relaxation, with properties calculated at the PBE level.

Cell: 13.8430 13.8430 4.8619 Å, 90.00 90.00 90.00°
Fractional coordinates of all 80 atoms:
Li1 0.0065 0.5065 0.2500
Li2 0.0065 0.9935 0.2500
Li3 0.1088 0.1398 0.1818
Li4 0.1088 0.3602 0.1818
Li5 0.1221 0.6221 0.7500
Li6 0.1221 0.8779 0.7500
Li7 0.1398 0.1088 0.6818
Li8 0.1398 0.3912 0.6818
Li9 0.2500 0.2500 0.1607
Li10 0.2500 0.2500 0.6607
Li11 0.2500 0.7500 0.2500
Li12 0.2500 0.7500 0.7500
Li13 0.3602 0.1088 0.6818
Li14 0.3602 0.3912 0.6818
Li15 0.3779 0.6221 0.7500
Li16 0.3779 0.8779 0.7500
Li17 0.3912 0.1398 0.1818
Li18 0.3912 0.3602 0.1818
Li19 0.4935 0.5065 0.2500
Li20 0.4935 0.9935 0.2500
Li21 0.5065 0.0065 0.7500
Li22 0.5065 0.4935 0.7500
Li23 0.6088 0.6398 0.8182
Li24 0.6088 0.8602 0.8182
Li25 0.6221 0.1221 0.2500
Li26 0.6221 0.3779 0.2500
Li27 0.6398 0.6088 0.3182
Li28 0.6398 0.8912 0.3182
Li29 0.7500 0.2500 0.2500
Li30 0.7500 0.2500 0.7500
Li31 0.7500 0.7500 0.3393
Li32 0.7500 0.7500 0.8393
Li33 0.8602 0.6088 0.3182
Li34 0.8602 0.8912 0.3182
Li35 0.8779 0.1221 0.2500
Li36 0.8779 0.3779 0.2500
Li37 0.8912 0.6398 0.8182
Li38 0.8912 0.8602 0.8182
Li39 0.9935 0.0065 0.7500
Li40 0.9935 0.4935 0.7500
La1 0.0238 0.7500 0.2952
La2 0.2500 0.5238 0.2048
La3 0.2500 0.9762 0.2048
La4 0.4762 0.7500 0.2952
La5 0.5238 0.2500 0.7048
La6 0.7500 0.0238 0.7952
La7 0.7500 0.4762 0.7952
La8 0.9762 0.2500 0.7048
O1 0.0112 0.1123 0.4656
O2 0.0112 0.3877 0.4656
O3 0.1123 0.0112 0.9656
O4 0.1123 0.4888 0.9656
O5 0.1320 0.2500 0.9165
O6 0.1381 0.7500 0.9714
O7 0.2500 0.1320 0.4165
O8 0.2500 0.3680 0.4165
O9 0.2500 0.6381 0.5286
O10 0.2500 0.8619 0.5286
O11 0.3619 0.7500 0.9714
O12 0.3680 0.2500 0.9165
O13 0.3877 0.0112 0.9656
O14 0.3877 0.4888 0.9656
O15 0.4888 0.1123 0.4656
O16 0.4888 0.3877 0.4656
O17 0.5112 0.6123 0.5344
O18 0.5112 0.8877 0.5344
O19 0.6123 0.5112 0.0344
O20 0.6123 0.9888 0.0344
O21 0.6320 0.7500 0.0835
O22 0.6381 0.2500 0.0286
O23 0.7500 0.1381 0.4714
O24 0.7500 0.3619 0.4714
O25 0.7500 0.6320 0.5835
O26 0.7500 0.8680 0.5835
O27 0.8619 0.2500 0.0286
O28 0.8680 0.7500 0.0835
O29 0.8877 0.5112 0.0344
O30 0.8877 0.9888 0.0344
O31 0.9888 0.6123 0.5344
O32 0.9888 0.8877 0.5344

Calculated volume ... 116.5 Å³/f.u.
Formation energy ... -2.47 eV/atom
Offset from the most stable computed form ... 0 meV/atom

(5)
Below is Ba3RuN3 after structural relaxation, with properties calculated at the PBE level.

Cell: 8.2550 8.2550 5.6682 Å, 90.00 90.00 120.00°
Fractional coordinates of all 14 atoms:
Ba1 0.0941 0.3625 0.2500
Ba2 0.2683 0.9059 0.2500
Ba3 0.3625 0.2683 0.7500
Ba4 0.6375 0.7317 0.2500
Ba5 0.7317 0.0941 0.7500
Ba6 0.9059 0.6375 0.7500
Ru1 0.3333 0.6667 0.7500
Ru2 0.6667 0.3333 0.2500
N1 0.1184 0.4324 0.7500
N2 0.3140 0.8816 0.7500
N3 0.4324 0.3140 0.2500
N4 0.5676 0.6860 0.7500
N5 0.6860 0.1184 0.2500
N6 0.8816 0.5676 0.2500

Calculated volume ... 167.3 Å³/f.u.
Formation energy ... -0.61 eV/atom

(6)
Below is Pr2I2O after structural relaxation, with properties calculated at the PBE level.

Cell: 4.3880 4.3880 14.6785 Å, 90.00 90.00 90.00°
Fractional coordinates of all 5 atoms:
Pr1 0.0000 0.0000 0.1475
Pr2 0.0000 0.0000 0.8525
I1 0.0000 0.0000 0.3500
I2 0.0000 0.0000 0.6500
O1 0.0000 0.0000 0.0000

Calculated volume ... 282.6 Å³/f.u.
Formation energy ... -1.00 eV/atom

(7)
Below is NaNp2F9 after structural relaxation, with properties calculated at the PBE level.

Cell: 8.6853 11.1049 6.9544 Å, 90.00 90.00 90.00°
Fractional coordinates of all 48 atoms:
Na1 0.0354 0.2500 0.1504
Na2 0.4646 0.7500 0.6504
Na3 0.5354 0.2500 0.3496
Na4 0.9646 0.7500 0.8496
Np1 0.1718 0.0481 0.6610
Np2 0.1718 0.4519 0.6610
Np3 0.3282 0.5481 0.1610
Np4 0.3282 0.9519 0.1610
Np5 0.6718 0.0481 0.8390
Np6 0.6718 0.4519 0.8390
Np7 0.8282 0.5481 0.3390
Np8 0.8282 0.9519 0.3390
F1 0.0013 0.6046 0.5799
F2 0.0013 0.8954 0.5799
F3 0.0684 0.5809 0.1988
F4 0.0684 0.9191 0.1988
F5 0.1720 0.2500 0.6612
F6 0.2017 0.1032 0.9791
F7 0.2017 0.3968 0.9791
F8 0.2085 0.6120 0.8583
F9 0.2085 0.8880 0.8583
F10 0.2915 0.1120 0.3583
F11 0.2915 0.3880 0.3583
F12 0.2983 0.6032 0.4791
F13 0.2983 0.8968 0.4791
F14 0.3280 0.7500 0.1612
F15 0.4316 0.0809 0.6988
F16 0.4316 0.4191 0.6988
F17 0.4987 0.1046 0.0799
F18 0.4987 0.3954 0.0799
F19 0.5013 0.6046 0.9201
F20 0.5013 0.8954 0.9201
F21 0.5684 0.5809 0.3012
F22 0.5684 0.9191 0.3012
F23 0.6720 0.2500 0.8388
F24 0.7017 0.1032 0.5209
F25 0.7017 0.3968 0.5209
F26 0.7085 0.6120 0.6417
F27 0.7085 0.8880 0.6417
F28 0.7915 0.1120 0.1417
F29 0.7915 0.3880 0.1417
F30 0.7983 0.6032 0.0209
F31 0.7983 0.8968 0.0209
F32 0.8280 0.7500 0.3388
F33 0.9316 0.0809 0.8012
F34 0.9316 0.4191 0.8012
F35 0.9987 0.1046 0.4201
F36 0.9987 0.3954 0.4201

Calculated volume ... 167.7 Å³/f.u.
Formation energy ... -3.71 eV/atom

(8)
Below is SmP2Ir2 after structural relaxation, with properties calculated at the PBE level.

Cell: 4.1589 4.1589 9.6360 Å, 90.00 90.00 90.00°
Fractional coordinates of all 10 atoms:
Sm1 0.2500 0.2500 0.2419
Sm2 0.7500 0.7500 0.7581
P1 0.2500 0.2500 0.6398
P2 0.2500 0.7500 0.0000
P3 0.7500 0.2500 0.0000
P4 0.7500 0.7500 0.3602
Ir1 0.2500 0.2500 0.8857
Ir2 0.2500 0.7500 0.5000
Ir3 0.7500 0.2500 0.5000
Ir4 0.7500 0.7500 0.1143

Calculated volume ... 83.3 Å³/f.u.
Formation energy ... -1.01 eV/atom

(9)
Below is Cs2NaInF6 after structural relaxation, with properties calculated at the PBE level.

Cell: 6.4239 6.4239 6.4239 Å, 60.00 60.00 60.00°
Fractional coordinates of all 10 atoms:
Cs1 0.2500 0.2500 0.2500
Cs2 0.7500 0.7500 0.7500
Na1 0.0000 0.0000 0.0000
In1 0.5000 0.5000 0.5000
F1 0.2662 0.2662 0.7338
F2 0.2662 0.7338 0.2662
F3 0.2662 0.7338 0.7338
F4 0.7338 0.2662 0.2662
F5 0.7338 0.2662 0.7338
F6 0.7338 0.7338 0.2662

Calculated volume ... 187.4 Å³/f.u.
Formation energy ... -3.00 eV/atom

(10)
Below is Mg6GaFe after structural relaxation, with properties calculated at the PBE level.

Cell: 4.8414 6.1146 10.4822 Å, 90.00 90.00 90.00°
Fractional coordinates of all 16 atoms:
Mg1 0.0000 0.2539 0.0851
Mg2 0.0000 0.7461 0.0851
Mg3 0.0000 0.5000 0.8339
Mg4 0.5000 0.2387 0.9110
Mg5 0.5000 0.7613 0.9110
Mg6 0.5000 0.5000 0.6669
Mg7 0.0000 0.7539 0.5851
Mg8 0.0000 0.2461 0.5851
Mg9 0.0000 0.0000 0.3339
Mg10 0.5000 0.7387 0.4110
Mg11 0.5000 0.2613 0.4110
Mg12 0.5000 0.0000 0.1669
Ga1 0.5000 0.5000 0.1758
Ga2 0.5000 0.0000 0.6758
Fe1 0.0000 0.5000 0.3312
Fe2 0.0000 0.0000 0.8312

Calculated volume ... 155.2 Å³/f.u.
Formation energy ... 0.10 eV/atom
Offset from the most stable computed form ... 0 meV/atom

(11)
Below is Nb7Co6 after structural relaxation, with properties calculated at the PBE level.

Cell: 9.1683 9.1683 9.1683 Å, 31.49 31.49 31.49°
Fractional coordinates of all 13 atoms:
Nb1 0.0000 0.0000 0.0000
Nb2 0.1666 0.1666 0.1666
Nb3 0.3474 0.3474 0.3474
Nb4 0.4504 0.4504 0.4504
Nb5 0.5496 0.5496 0.5496
Nb6 0.6526 0.6526 0.6526
Nb7 0.8334 0.8334 0.8334
Co1 0.0933 0.0933 0.5794
Co2 0.0933 0.5794 0.0933
Co3 0.4206 0.9067 0.9067
Co4 0.5794 0.0933 0.0933
Co5 0.9067 0.4206 0.9067
Co6 0.9067 0.9067 0.4206

Calculated volume ... 186.7 Å³/f.u.
Formation energy ... -0.17 eV/atom

(12)
Below is CeMg6Bi after structural relaxation, with properties calculated at the PBE level.

Cell: 5.1499 6.8035 6.8035 Å, 60.95 90.00 90.00°
Fractional coordinates of all 8 atoms:
Ce1 0.0000 0.0000 0.0000
Mg1 0.0000 0.0096 0.4866
Mg2 0.0000 0.4866 0.0096
Mg3 0.0000 0.5093 0.5093
Mg4 0.5000 0.3382 0.3382
Mg5 0.5000 0.3600 0.8261
Mg6 0.5000 0.8261 0.3600
Bi1 0.5000 0.8326 0.8326

Calculated volume ... 208.4 Å³/f.u.
Formation energy ... -0.03 eV/atom
Offset from the most stable computed form ... 21 meV/atom

Question: Which of these has the lowest calculated volume?
Answer: SmP2Ir2